(1)
Below is UFe2 after structural relaxation, with properties calculated at the PBE-GGA level.

Unit cell a=4.9310 b=4.9310 c=4.9310 alpha=60.00 beta=60.00 gamma=60.00
Atoms (fractional coordinates):
U 0.5000 0.5000 0.5000
U 0.7500 0.7500 0.7500
Fe 0.6250 0.1250 0.1250
Fe 0.1250 0.1250 0.1250
Fe 0.1250 0.1250 0.6250
Fe 0.1250 0.6250 0.1250

The value obtained for the density is 13.70 g/cm3. The value obtained for the total DFT energy (no corrections) is -57.07 eV per cell.

=====

(2)
Below is VFe after structural relaxation, with properties calculated at the PBE-GGA level.

Unit cell a=2.8847 b=2.8847 c=2.8847 alpha=90.00 beta=90.00 gamma=90.00
Atoms (fractional coordinates):
Fe 0.0000 0.0000 0.0000
V 0.5000 0.5000 0.5000

The value obtained for the density is 7.39 g/cm3. The value obtained for the total DFT energy (no corrections) is -17.81 eV per cell.

=====

(3)
Below is V3Fe after structural relaxation, with properties calculated at the PBE-GGA level.

Unit cell a=4.6490 b=4.6490 c=4.6490 alpha=90.00 beta=90.00 gamma=90.00
Atoms (fractional coordinates):
V 0.0000 0.5000 0.7500
V 0.2500 0.0000 0.5000
V 0.5000 0.2500 0.0000
Fe 0.0000 0.0000 0.0000
V 0.0000 0.5000 0.2500
V 0.7500 0.0000 0.5000
Fe 0.5000 0.5000 0.5000
V 0.5000 0.7500 0.0000

The value obtained for the density is 6.90 g/cm3. The value obtained for the total DFT energy (no corrections) is -72.81 eV per cell.

=====

(4)
Below is VFe after structural relaxation, with properties calculated at the PBE-GGA level.

Unit cell a=2.5140 b=2.5140 c=4.0202 alpha=90.00 beta=90.00 gamma=107.85
Atoms (fractional coordinates):
V 0.5000 0.5000 0.5000
Fe 0.0000 0.0000 0.0000

The value obtained for the density is 7.33 g/cm3. The value obtained for the total DFT energy (no corrections) is -17.76 eV per cell.

=====

(5)
Below is VFe3 after structural relaxation, with properties calculated at the PBE-GGA level.

Unit cell a=2.4864 b=2.4864 c=8.0314 alpha=90.00 beta=90.00 gamma=108.03
Atoms (fractional coordinates):
Fe 0.0000 0.0000 0.5000
V 0.0000 0.0000 0.0000
Fe 0.5000 0.5000 0.2530
Fe 0.5000 0.5000 0.7470

The magnetization comes out at 5.76 μB per formula unit. The value obtained for the density is 7.68 g/cm3. The value obtained for the total DFT energy (no corrections) is -34.72 eV per cell.

=====

(6)
Below is V3Fe after structural relaxation, with properties calculated at the PBE-GGA level.

Unit cell a=4.1304 b=4.1304 c=4.1304 alpha=60.00 beta=60.00 gamma=60.00
Atoms (fractional coordinates):
V 0.5000 0.5000 0.5000
V 0.2500 0.2500 0.2500
V 0.7500 0.7500 0.7500
Fe 0.0000 0.0000 0.0000

The value obtained for the density is 6.95 g/cm3. The value obtained for the total DFT energy (no corrections) is -36.28 eV per cell.

=====

(7)
Below is VFe3 after structural relaxation, with properties calculated at the PBE-GGA level.

Unit cell a=4.0471 b=4.0471 c=4.0471 alpha=60.00 beta=60.00 gamma=60.00
Atoms (fractional coordinates):
Fe 0.0000 0.0000 0.0000
Fe 0.7500 0.7500 0.7500
Fe 0.2500 0.2500 0.2500
V 0.5000 0.5000 0.5000

The value obtained for the density is 7.74 g/cm3. The value obtained for the total DFT energy (no corrections) is -35.01 eV per cell.

=====

(8)
Below is YV2Fe10 after structural relaxation, with properties calculated at the PBE-GGA level.

Unit cell a=4.6902 b=6.4386 c=6.4386 alpha=97.26 beta=111.36 gamma=68.64
Atoms (fractional coordinates):
Fe 0.7262 0.7738 0.2262
Y 0.0000 0.0000 0.0000
Fe 0.5000 0.7709 0.7709
Fe 0.2738 0.2262 0.7738
Fe 0.0000 0.0000 0.5000
Fe 0.3594 0.6406 0.3594
V 0.0000 0.6409 0.6409
Fe 0.5000 0.2291 0.2291
Fe 0.6406 0.3594 0.6406
Fe 0.5000 0.5000 0.0000
Fe 0.5000 0.0000 0.5000
V 0.0000 0.3591 0.3591
Fe 0.0000 0.5000 0.0000

The magnetization comes out at 16.99 μB per formula unit. The value obtained for the density is 7.38 g/cm3. The value obtained for the total DFT energy (no corrections) is -110.24 eV per cell.